# 1
# meta-GGA r2SCAN Rb2Ca2Be3F12, optimized geometry
data_Rb2Ca2Be3F12
_symmetry_space_group_name_H-M 'P 21 3'
_symmetry_Int_Tables_number 198
_symmetry_space_group_name_Hall 'P 2ac 2ab 3'
_cell_length_a 10.488
_cell_length_b 10.488
_cell_length_c 10.488
_cell_angle_alpha 90.00
_cell_angle_beta 90.00
_cell_angle_gamma 90.00
loop_
_atom_site_label
_atom_site_type_symbol
_atom_site_fract_x
_atom_site_fract_y
_atom_site_fract_z
Rb1 Rb 0.044 0.044 0.044
Rb2 Rb 0.193 0.307 0.693
Ca1 Ca 0.087 0.913 0.413
Ca2 Ca 0.174 0.674 0.826
Be1 Be 0.007 0.225 0.375
F1 F 0.005 0.089 0.317
F2 F 0.011 0.085 0.732
F3 F 0.042 0.822 0.225
F4 F 0.082 0.857 0.760
# * formation energy from the elements: -69.4 eV/f.u.
# * size of the total moment: 0.00 μB/f.u.

=====

# 2
# meta-GGA r2SCAN CaBe2P2, optimized geometry
data_CaBe2P2
_symmetry_space_group_name_H-M 'P -3 m 1'
_symmetry_Int_Tables_number 164
_symmetry_space_group_name_Hall '-P 3 2"'
_cell_length_a 3.7458
_cell_length_b 3.7458
_cell_length_c 6.6097
_cell_angle_alpha 90.00
_cell_angle_beta 90.00
_cell_angle_gamma 120.00
loop_
_atom_site_label
_atom_site_type_symbol
_atom_site_fract_x
_atom_site_fract_y
_atom_site_fract_z
Ca1 Ca 0.0000 0.0000 0.0000
Be1 Be 0.3333 0.6667 0.6229
P1 P 0.3333 0.6667 0.2844
# * formation energy from the elements: -4.2 eV/f.u.
# * size of the total moment: 0.00 μB/f.u.

=====

# 3
# meta-GGA r2SCAN Cs2BeCl4, optimized geometry
data_Cs2BeCl4
_symmetry_space_group_name_H-M 'P n m a'
_symmetry_Int_Tables_number 62
_cell_length_a 9.709
_cell_length_b 7.204
_cell_length_c 12.527
_cell_angle_alpha 90.00
_cell_angle_beta 90.00
_cell_angle_gamma 90.00
loop_
_symmetry_equiv_pos_as_xyz
'x,y,z'
'-x,-y,-z'
'-x+1/2,-y,z+1/2'
'x+1/2,y,-z+1/2'
'x+1/2,-y+1/2,-z+1/2'
'-x+1/2,y+1/2,z+1/2'
'-x,y+1/2,-z'
'x,-y+1/2,z'
loop_
_atom_site_label
_atom_site_type_symbol
_atom_site_fract_x
_atom_site_fract_y
_atom_site_fract_z
Cs1 Cs 0.024 0.250 0.176
Cs2 Cs 0.149 0.750 0.398
Be1 Be 0.242 0.750 0.081
Cl1 Cl 0.034 0.750 0.100
Cl2 Cl 0.178 0.019 0.652
Cl3 Cl 0.196 0.250 0.426
# * formation energy from the elements: -14.3 eV/f.u.
# * size of the total moment: 0.00 μB/f.u.

=====

# 4
# meta-GGA r2SCAN Be2Te7Cl6, optimized geometry
data_Be2Te7Cl6
_symmetry_space_group_name_H-M 'P n n m'
_symmetry_Int_Tables_number 58
_cell_length_a 5.462
_cell_length_b 10.028
_cell_length_c 16.741
_cell_angle_alpha 90.00
_cell_angle_beta 90.00
_cell_angle_gamma 90.00
loop_
_symmetry_equiv_pos_as_xyz
'x,y,z'
'-x,-y,-z'
'-x,-y,z'
'x,y,-z'
'x+1/2,-y+1/2,-z+1/2'
'-x+1/2,y+1/2,z+1/2'
'-x+1/2,y+1/2,-z+1/2'
'x+1/2,-y+1/2,z+1/2'
loop_
_atom_site_label
_atom_site_type_symbol
_atom_site_fract_x
_atom_site_fract_y
_atom_site_fract_z
Be1 Be 0.000 0.000 0.081
Te1 Te 0.000 0.500 0.000
Te2 Te 0.000 0.500 0.239
Te3 Te 0.170 0.107 0.371
Cl1 Cl 0.147 0.145 0.146
Cl2 Cl 0.238 0.914 0.000
# * formation energy from the elements: -11.3 eV/f.u.
# * size of the total moment: 0.00 μB/f.u.

=====

# 5
# meta-GGA r2SCAN BeCo, optimized geometry
data_BeCo
_symmetry_space_group_name_H-M 'P m -3 m'
_symmetry_Int_Tables_number 221
_symmetry_space_group_name_Hall '-P 4 2 3'
_cell_length_a 2.572
_cell_length_b 2.572
_cell_length_c 2.572
_cell_angle_alpha 90.00
_cell_angle_beta 90.00
_cell_angle_gamma 90.00
loop_
_atom_site_label
_atom_site_type_symbol
_atom_site_fract_x
_atom_site_fract_y
_atom_site_fract_z
Be1 Be 0.000 0.000 0.000
Co1 Co 0.500 0.500 0.500
# * formation energy from the elements: -0.4 eV/f.u.
# * size of the total moment: 0.38 μB/f.u.

=====

# 6
# meta-GGA r2SCAN BeGaCo2, optimized geometry
data_BeGaCo2
_symmetry_space_group_name_H-M 'F m -3 m'
_symmetry_Int_Tables_number 225
_symmetry_space_group_name_Hall '-F 4 2 3'
_cell_length_a 5.452
_cell_length_b 5.452
_cell_length_c 5.452
_cell_angle_alpha 90.00
_cell_angle_beta 90.00
_cell_angle_gamma 90.00
loop_
_atom_site_label
_atom_site_type_symbol
_atom_site_fract_x
_atom_site_fract_y
_atom_site_fract_z
Be1 Be 0.000 0.000 0.000
Ga1 Ga 0.000 0.000 0.500
Co1 Co 0.250 0.250 0.250
# * formation energy from the elements: -0.8 eV/f.u.
# * size of the total moment: 0.00 μB/f.u.

=====

# 7
# meta-GGA r2SCAN BeCo2Ge, optimized geometry
data_BeCo2Ge
_symmetry_space_group_name_H-M 'F m -3 m'
_symmetry_Int_Tables_number 225
_symmetry_space_group_name_Hall '-F 4 2 3'
_cell_length_a 5.438
_cell_length_b 5.438
_cell_length_c 5.438
_cell_angle_alpha 90.00
_cell_angle_beta 90.00
_cell_angle_gamma 90.00
loop_
_atom_site_label
_atom_site_type_symbol
_atom_site_fract_x
_atom_site_fract_y
_atom_site_fract_z
Be1 Be 0.000 0.000 0.000
Co1 Co 0.250 0.250 0.250
Ge1 Ge 0.000 0.000 0.500
# * formation energy from the elements: -0.8 eV/f.u.
# * size of the total moment: 0.00 μB/f.u.

=====

# 8
# meta-GGA r2SCAN Be2CoNi, optimized geometry
data_Be2CoNi
_symmetry_space_group_name_H-M 'F m -3 m'
_symmetry_Int_Tables_number 225
_symmetry_space_group_name_Hall '-F 4 2 3'
_cell_length_a 5.147
_cell_length_b 5.147
_cell_length_c 5.147
_cell_angle_alpha 90.00
_cell_angle_beta 90.00
_cell_angle_gamma 90.00
loop_
_atom_site_label
_atom_site_type_symbol
_atom_site_fract_x
_atom_site_fract_y
_atom_site_fract_z
Be1 Be 0.250 0.250 0.250
Co1 Co 0.000 0.000 0.000
Ni1 Ni 0.000 0.000 0.500
# * formation energy from the elements: -1.5 eV/f.u.
# * size of the total moment: 0.00 μB/f.u.